No. 1
{
  "formula": "Sr6Ca2Co7CuO20",
  "functional": "PBE+U",
  "state": "relaxed",
  "cell": [[-0.055, -0.006, 10.846], [11.143, 0.011, -0.057], [-5.529, 15.791, -5.401]],
  "species": ["Co", "Co", "Co", "Co", "Co", "Co", "Co", "Co", "Co", "Co", "Co", "Co", "Co", "Co", "Co", "Co", "Co", "Co", "Co", "Co", "Co", "Co", "Co", "Co", "Co", "Co", "Co", "Co", "Sr", "Sr", "Sr", "Sr", "Sr", "Sr", "Sr", "Sr", "Sr", "Sr", "Sr", "Sr", "Sr", "Sr", "Sr", "Sr", "Sr", "Sr", "Sr", "Sr", "Sr", "Sr", "Sr", "Sr", "O", "O", "O", "O", "O", "O", "O", "O", "O", "O", "O", "O", "O", "O", "O", "O", "O", "O", "O", "O", "O", "O", "O", "O", "O", "O", "O", "O", "O", "O", "O", "O", "O", "O", "O", "O", "O", "O", "O", "O", "O", "O", "O", "O", "O", "O", "O", "O", "O", "O", "O", "O", "O", "O", "O", "O", "O", "O", "O", "O", "O", "O", "O", "O", "O", "O", "O", "O", "O", "O", "O", "O", "O", "O", "O", "O", "O", "O", "O", "O", "Ca", "Ca", "Ca", "Ca", "Ca", "Ca", "Ca", "Ca", "Cu", "Cu", "Cu", "Cu"],
  "fractional_positions": [[0.852, 0.404, 0.244], [0.757, 0.750, 0.000], [0.503, 0.001, 0.499], [0.253, 0.751, 0.001], [0.868, 0.411, 0.755], [0.107, 0.593, 0.245], [0.359, 0.405, 0.244], [0.354, 0.904, 0.245], [0.008, 0.000, 0.005], [0.866, 0.903, 0.753], [0.607, 0.096, 0.246], [0.755, 0.751, 0.501], [0.114, 0.089, 0.756], [0.105, 0.086, 0.243], [0.256, 0.750, 0.503], [0.860, 0.905, 0.246], [0.006, 0.505, 0.508], [0.504, 0.502, 0.502], [0.606, 0.588, 0.243], [0.259, 0.252, 0.007], [0.758, 0.256, 0.011], [0.253, 0.251, 0.503], [0.001, 0.997, 0.495], [0.505, 0.503, 0.005], [0.010, 0.506, 0.009], [0.610, 0.091, 0.750], [0.502, 0.999, 0.999], [0.750, 0.249, 0.496], [0.442, 0.696, 0.888], [0.448, 0.204, 0.891], [0.696, 0.441, 0.387], [0.560, 0.797, 0.610], [0.446, 0.696, 0.385], [0.442, 0.201, 0.385], [0.060, 0.301, 0.612], [0.698, 0.937, 0.890], [0.196, 0.436, 0.388], [0.556, 0.307, 0.612], [0.554, 0.801, 0.110], [0.944, 0.200, 0.385], [0.196, 0.936, 0.386], [0.944, 0.201, 0.891], [0.198, 0.442, 0.890], [0.061, 0.800, 0.612], [0.694, 0.443, 0.889], [0.057, 0.294, 0.112], [0.947, 0.695, 0.385], [0.807, 0.561, 0.613], [0.695, 0.936, 0.386], [0.307, 0.060, 0.611], [0.809, 0.065, 0.613], [0.312, 0.558, 0.613], [0.936, 0.574, 0.760], [0.379, 0.376, 0.014], [0.933, 0.409, 0.351], [0.835, 0.284, 0.141], [0.369, 0.124, 0.493], [0.685, 0.693, 0.351], [0.182, 0.190, 0.351], [0.093, 0.602, 0.139], [0.133, 0.872, 0.504], [0.701, 0.702, 0.869], [0.324, 0.798, 0.640], [0.181, 0.936, 0.762], [0.876, 0.378, 0.014], [0.625, 0.623, 0.492], [0.437, 0.411, 0.353], [0.632, 0.633, 0.997], [0.701, 0.449, 0.751], [0.873, 0.627, 0.493], [0.632, 0.891, 0.011], [0.871, 0.125, 0.494], [0.925, 0.062, 0.238], [0.683, 0.199, 0.355], [0.193, 0.449, 0.752], [0.620, 0.120, 0.494], [0.636, 0.876, 0.506], [0.069, 0.581, 0.636], [0.336, 0.285, 0.140], [0.457, 0.550, 0.753], [0.377, 0.883, 0.012], [0.842, 0.789, 0.143], [0.590, 0.596, 0.139], [0.187, 0.710, 0.868], [0.577, 0.586, 0.637], [0.688, 0.937, 0.752], [0.182, 0.696, 0.353], [0.689, 0.206, 0.853], [0.926, 0.558, 0.237], [0.939, 0.405, 0.859], [0.632, 0.134, 0.996], [0.088, 0.090, 0.648], [0.583, 0.096, 0.643], [0.591, 0.102, 0.141], [0.128, 0.388, 0.012], [0.134, 0.882, 0.014], [0.121, 0.615, 0.495], [0.837, 0.309, 0.647], [0.939, 0.911, 0.357], [0.631, 0.374, 0.505], [0.884, 0.883, 0.503], [0.372, 0.624, 0.494], [0.426, 0.059, 0.239], [0.439, 0.416, 0.867], [0.949, 0.899, 0.860], [0.883, 0.874, 0.013], [0.439, 0.060, 0.751], [0.876, 0.115, 0.994], [0.377, 0.377, 0.503], [0.120, 0.117, 0.495], [0.134, 0.126, 0.993], [0.436, 0.912, 0.355], [0.673, 0.427, 0.240], [0.123, 0.628, 0.991], [0.443, 0.909, 0.867], [0.937, 0.062, 0.753], [0.130, 0.370, 0.504], [0.632, 0.385, 0.016], [0.836, 0.800, 0.645], [0.092, 0.091, 0.139], [0.686, 0.940, 0.247], [0.323, 0.301, 0.638], [0.382, 0.116, 0.995], [0.386, 0.883, 0.503], [0.374, 0.619, 0.997], [0.193, 0.207, 0.859], [0.881, 0.382, 0.502], [0.882, 0.614, 0.997], [0.185, 0.439, 0.247], [0.425, 0.561, 0.237], [0.331, 0.789, 0.141], [0.174, 0.926, 0.240], [0.200, 0.932, 0.897], [0.303, 0.569, 0.107], [0.959, 0.709, 0.895], [0.802, 0.064, 0.108], [0.799, 0.567, 0.108], [0.059, 0.793, 0.108], [0.304, 0.060, 0.108], [0.555, 0.291, 0.109], [0.108, 0.600, 0.754], [0.358, 0.904, 0.753], [0.362, 0.403, 0.752], [0.623, 0.604, 0.753]],
  "space_group": "No. 1"
}

***

No. 2
{
  "formula": "Sr3CaCo3CuO12",
  "functional": "PBE+U",
  "state": "relaxed",
  "cell": [[-6.203, -2.034, 4.094], [4.477, -4.117, 4.739], [0.942, 6.230, 4.522]],
  "species": ["Cu", "Cu", "O", "O", "O", "O", "O", "O", "O", "O", "O", "O", "O", "O", "O", "O", "O", "O", "O", "O", "O", "O", "O", "O", "O", "O", "Sr", "Sr", "Sr", "Sr", "Sr", "Sr", "Ca", "Ca", "Co", "Co", "Co", "Co", "Co", "Co"],
  "fractional_positions": [[0.000, 0.000, 0.500], [0.000, 0.000, 0.000], [0.004, 0.743, 0.003], [0.496, 0.997, 0.250], [0.006, 0.004, 0.750], [0.252, 0.500, 0.000], [0.748, 0.500, 0.000], [0.496, 0.747, 0.498], [0.005, 0.498, 0.750], [0.748, 0.500, 0.500], [0.496, 0.747, 0.002], [0.257, 0.000, 0.000], [0.005, 0.502, 0.250], [0.496, 0.253, 0.998], [0.257, 0.000, 0.500], [0.742, 0.000, 0.000], [0.004, 0.257, 0.503], [0.004, 0.257, 0.997], [0.497, 0.499, 0.750], [0.252, 0.500, 0.500], [0.497, 0.501, 0.250], [0.742, 0.000, 0.500], [0.496, 0.003, 0.750], [0.004, 0.743, 0.497], [0.496, 0.253, 0.502], [0.006, 0.996, 0.250], [0.249, 0.751, 0.750], [0.249, 0.249, 0.250], [0.751, 0.250, 0.750], [0.751, 0.751, 0.750], [0.751, 0.249, 0.250], [0.751, 0.750, 0.250], [0.248, 0.751, 0.250], [0.248, 0.249, 0.750], [0.498, 0.000, 0.500], [0.001, 0.500, 0.000], [0.498, 0.500, 0.000], [0.001, 0.500, 0.500], [0.498, 0.500, 0.500], [0.498, 0.000, 0.000]],
  "space_group": "No. 28"
}

***

No. 3
{
  "formula": "Sr2Ca6Co7CuO20",
  "functional": "PBE+U",
  "state": "relaxed",
  "cell": [[-0.014, 0.005, 10.716], [11.110, 0.007, -0.014], [-5.538, 15.274, -5.345]],
  "species": ["O", "O", "O", "O", "O", "O", "O", "O", "O", "O", "O", "O", "O", "O", "O", "O", "O", "O", "O", "O", "O", "O", "O", "O", "O", "O", "O", "O", "O", "O", "O", "O", "O", "O", "O", "O", "O", "O", "O", "O", "O", "O", "O", "O", "O", "O", "O", "O", "O", "O", "O", "O", "O", "O", "O", "O", "O", "O", "O", "O", "O", "O", "O", "O", "O", "O", "O", "O", "O", "O", "O", "O", "O", "O", "O", "O", "O", "O", "O", "O", "Co", "Co", "Co", "Co", "Co", "Co", "Co", "Co", "Co", "Co", "Co", "Co", "Co", "Co", "Co", "Co", "Co", "Co", "Co", "Co", "Co", "Co", "Co", "Co", "Co", "Co", "Co", "Co", "Ca", "Ca", "Ca", "Ca", "Ca", "Ca", "Ca", "Ca", "Ca", "Ca", "Ca", "Ca", "Ca", "Ca", "Ca", "Ca", "Ca", "Ca", "Ca", "Ca", "Ca", "Ca", "Ca", "Ca", "Sr", "Sr", "Sr", "Sr", "Sr", "Sr", "Sr", "Sr", "Cu", "Cu", "Cu", "Cu"],
  "fractional_positions": [[0.123, 0.120, 0.988], [0.945, 0.898, 0.864], [0.132, 0.122, 0.487], [0.380, 0.882, 0.508], [0.375, 0.115, 0.484], [0.926, 0.057, 0.239], [0.065, 0.584, 0.632], [0.378, 0.113, 0.995], [0.867, 0.611, 0.484], [0.947, 0.398, 0.860], [0.830, 0.791, 0.644], [0.121, 0.624, 0.485], [0.676, 0.931, 0.250], [0.628, 0.628, 0.991], [0.879, 0.109, 0.488], [0.629, 0.873, 0.506], [0.433, 0.060, 0.742], [0.193, 0.207, 0.862], [0.924, 0.571, 0.248], [0.425, 0.568, 0.249], [0.640, 0.385, 0.016], [0.086, 0.100, 0.137], [0.132, 0.885, 0.506], [0.840, 0.290, 0.143], [0.882, 0.880, 0.014], [0.124, 0.626, 0.994], [0.945, 0.899, 0.356], [0.175, 0.432, 0.249], [0.933, 0.064, 0.759], [0.129, 0.380, 0.503], [0.086, 0.602, 0.142], [0.195, 0.449, 0.751], [0.329, 0.293, 0.636], [0.136, 0.882, 0.016], [0.879, 0.873, 0.504], [0.446, 0.907, 0.866], [0.087, 0.089, 0.644], [0.873, 0.116, 0.987], [0.694, 0.445, 0.760], [0.583, 0.093, 0.639], [0.176, 0.929, 0.248], [0.453, 0.413, 0.870], [0.874, 0.614, 0.987], [0.444, 0.401, 0.358], [0.587, 0.102, 0.143], [0.579, 0.594, 0.635], [0.693, 0.706, 0.354], [0.923, 0.572, 0.752], [0.423, 0.068, 0.249], [0.622, 0.619, 0.486], [0.446, 0.572, 0.760], [0.834, 0.298, 0.644], [0.632, 0.383, 0.510], [0.390, 0.385, 0.018], [0.137, 0.382, 0.018], [0.833, 0.786, 0.139], [0.193, 0.709, 0.358], [0.381, 0.623, 0.994], [0.674, 0.431, 0.248], [0.691, 0.210, 0.857], [0.943, 0.410, 0.358], [0.585, 0.600, 0.139], [0.336, 0.790, 0.140], [0.886, 0.381, 0.013], [0.630, 0.886, 0.014], [0.183, 0.935, 0.761], [0.335, 0.289, 0.142], [0.444, 0.896, 0.356], [0.328, 0.797, 0.633], [0.384, 0.881, 0.015], [0.677, 0.930, 0.751], [0.701, 0.718, 0.868], [0.629, 0.122, 0.992], [0.191, 0.208, 0.352], [0.628, 0.123, 0.486], [0.875, 0.374, 0.505], [0.371, 0.617, 0.484], [0.688, 0.211, 0.357], [0.194, 0.711, 0.869], [0.377, 0.374, 0.503], [0.358, 0.904, 0.248], [0.505, 0.998, 0.497], [0.255, 0.751, 0.501], [0.111, 0.091, 0.755], [0.604, 0.092, 0.248], [0.504, 0.502, 0.499], [0.605, 0.592, 0.247], [0.857, 0.409, 0.248], [0.856, 0.901, 0.246], [0.007, 0.500, 0.003], [0.756, 0.749, 0.999], [0.257, 0.249, 0.500], [0.758, 0.252, 0.002], [0.107, 0.595, 0.250], [0.255, 0.751, 0.002], [0.504, 0.998, 0.999], [0.612, 0.092, 0.749], [0.357, 0.406, 0.249], [0.859, 0.901, 0.754], [0.861, 0.411, 0.754], [0.256, 0.252, 0.003], [0.003, 0.994, 0.494], [0.006, 0.001, 0.001], [0.750, 0.744, 0.495], [0.750, 0.248, 0.494], [0.508, 0.501, 0.002], [0.001, 0.500, 0.498], [0.109, 0.091, 0.245], [0.444, 0.706, 0.893], [0.056, 0.791, 0.109], [0.944, 0.703, 0.389], [0.201, 0.934, 0.389], [0.195, 0.438, 0.390], [0.807, 0.564, 0.108], [0.950, 0.208, 0.895], [0.806, 0.565, 0.608], [0.444, 0.208, 0.388], [0.554, 0.794, 0.608], [0.556, 0.294, 0.109], [0.692, 0.436, 0.389], [0.304, 0.065, 0.109], [0.700, 0.438, 0.894], [0.694, 0.927, 0.388], [0.305, 0.566, 0.109], [0.056, 0.294, 0.109], [0.951, 0.706, 0.894], [0.696, 0.938, 0.892], [0.804, 0.067, 0.106], [0.444, 0.705, 0.391], [0.198, 0.933, 0.896], [0.310, 0.063, 0.607], [0.553, 0.794, 0.109], [0.062, 0.300, 0.613], [0.201, 0.442, 0.891], [0.448, 0.200, 0.889], [0.560, 0.304, 0.615], [0.809, 0.059, 0.612], [0.057, 0.798, 0.612], [0.307, 0.562, 0.614], [0.946, 0.202, 0.383], [0.369, 0.409, 0.754], [0.619, 0.608, 0.754], [0.104, 0.600, 0.752], [0.360, 0.904, 0.751]],
  "space_group": "No. 1"
}

***

Number 1: E_tot -5.854 eV per atom, DFT formation energy -1916 meV/atom. Number 2: E_tot -5.838 eV per atom, DFT formation energy -1902 meV/atom. Number 3: E_tot -6.089 eV per atom, DFT formation energy -2117 meV/atom.